Record 1
Compound: Na7Mg2Nb2Si3P3O24
Source: the Materials Project database
Functional: PBE
Structure: relaxed

```
Na7Mg2Nb2Si3P3O24
1.0
9.0859 0.0000 0.0000
4.5238 7.8843 0.0000
0.0620 -0.0008 22.2042
Na Mg Nb Si P O
21 6 6 9 9 72
direct
0.0000 0.0000 0.0000
0.0040 0.6587 0.9203
0.0202 0.6556 0.4133
0.0295 0.2853 0.1574
0.0408 0.9494 0.3228
0.0561 0.3132 0.8422
0.2974 0.3569 0.3284
0.3210 0.7058 0.8410
0.3386 0.9992 0.7618
0.3421 0.3443 0.9987
0.3477 0.6108 0.4972
0.3522 0.9983 0.2363
0.3630 0.6872 0.1598
0.3913 0.3071 0.6768
0.6496 0.6513 0.6753
0.6522 0.9807 0.8386
0.6794 0.3311 0.0816
0.6863 0.3147 0.5878
0.6943 0.6866 0.3280
0.7246 0.9996 0.5047
0.9629 0.3812 0.4968
0.0116 0.6650 0.5638
0.0140 0.6633 0.2681
0.3434 0.9996 0.9023
0.3440 0.9963 0.0982
0.6730 0.3331 0.4366
0.6816 0.3244 0.7312
0.0063 0.6707 0.0650
0.0081 0.6676 0.7691
0.3388 0.0029 0.3938
0.3456 0.0021 0.6074
0.6725 0.3435 0.9355
0.6808 0.3305 0.2310
0.0113 0.9607 0.1716
0.0488 0.2928 0.0009
0.3453 0.2944 0.5005
0.3458 0.7063 0.0015
0.3835 0.3294 0.8289
0.3837 0.6219 0.3379
0.6736 0.6281 0.8271
0.7239 0.9626 0.6608
0.9661 0.3365 0.3383
0.0088 0.3742 0.6638
0.0564 0.9969 0.5007
0.3010 0.6664 0.6628
0.3051 0.3708 0.1691
0.6323 0.7100 0.5005
0.6365 0.9981 0.9988
0.6774 0.0420 0.3371
0.7173 0.6681 0.1716
0.9657 0.0425 0.8313
0.0208 0.4878 0.0117
0.0330 0.8486 0.2295
0.0422 0.4624 0.7203
0.0466 0.8338 0.5013
0.1230 0.1783 0.0601
0.1471 0.0114 0.8385
0.1573 0.1558 0.3384
0.1577 0.0130 0.5545
0.1636 0.2247 0.9409
0.1679 0.9790 0.4427
0.1718 0.4744 0.5006
0.1727 0.9892 0.1650
0.1752 0.6744 0.0093
0.1785 0.1953 0.6624
0.1881 0.6880 0.7204
0.1933 0.6559 0.3299
0.1948 0.5130 0.8267
0.2004 0.4503 0.2259
0.2129 0.4900 0.1131
0.2181 0.6411 0.6072
0.3008 0.8183 0.9412
0.3137 0.8334 0.6609
0.3263 0.1853 0.4425
0.3287 0.1951 0.1595
0.3510 0.1717 0.8373
0.3601 0.1676 0.5586
0.3749 0.7784 0.0628
0.3794 0.8101 0.3393
0.4660 0.5089 0.3966
0.4805 0.3575 0.8889
0.4801 0.3692 0.1721
0.4805 0.5173 0.6691
0.4948 0.3043 0.7705
0.5072 0.5041 0.9930
0.5075 0.0329 0.3387
0.5119 0.5266 0.2778
0.5151 0.8146 0.8383
0.5183 0.8067 0.5569
0.5205 0.0347 0.0523
0.5212 0.2966 0.5017
0.5302 0.9664 0.6618
0.5348 0.8233 0.4446
0.5393 0.8156 0.1635
0.5706 0.9693 0.9393
0.6454 0.1645 0.2817
0.6445 0.5363 0.5007
0.6519 0.5413 0.7686
0.6676 0.1549 0.9931
0.6812 0.1539 0.6679
0.7050 0.1178 0.3939
0.7079 0.4950 0.1719
0.7079 0.4955 0.8861
0.8010 0.6770 0.2295
0.8057 0.6995 0.5008
0.8191 0.8320 0.7209
0.8232 0.8414 0.0082
0.8239 0.8627 0.3276
0.8237 0.8686 0.6012
0.8327 0.1532 0.1726
0.8386 0.6397 0.1167
0.8548 0.3545 0.6723
0.8562 0.1164 0.8902
0.8563 0.6360 0.8264
0.8583 0.3082 0.9906
0.8576 0.3584 0.3975
0.8730 0.2999 0.2783
0.8814 0.1528 0.7781
0.8844 0.1591 0.4991
0.9808 0.8593 0.8258
0.9903 0.8596 0.1112
0.9913 0.4769 0.6072
0.9969 0.4941 0.3287
```

Total DFT energy (no corrections) (hartree per atom): -0.25383


Record 2
Compound: Na6Mg2Nb4Si3P6O36
Source: the Materials Project database
Functional: PBE
Structure: relaxed

```
Na6Mg2Nb4Si3P6O36
1.0
7.7470 -4.4548 0.0000
7.7470 4.4548 0.0000
-0.0628 0.0000 22.5432
Na Mg Nb Si P O
12 4 8 6 12 72
direct
0.0017 0.9983 0.5000
0.0205 0.6358 0.2492
0.0403 0.2960 0.4198
0.2960 0.0403 0.9198
0.3263 0.3517 0.8354
0.3517 0.3263 0.3354
0.3638 0.6408 0.7515
0.6358 0.0205 0.7492
0.6408 0.3638 0.2515
0.6633 0.6933 0.1698
0.6933 0.6633 0.6698
0.9983 0.0017 0.0000
0.0031 0.0047 0.3613
0.0047 0.0031 0.8613
0.3325 0.3386 0.6910
0.3386 0.3325 0.1910
0.0037 0.0122 0.6501
0.0122 0.0037 0.1501
0.3369 0.3486 0.9892
0.3486 0.3369 0.4892
0.6663 0.6776 0.3197
0.6693 0.6760 0.0291
0.6760 0.6693 0.5291
0.6776 0.6663 0.8197
0.0485 0.6288 0.0955
0.0562 0.3397 0.5917
0.3397 0.0562 0.0917
0.3784 0.6708 0.9230
0.6288 0.0485 0.5955
0.6708 0.3784 0.4230
0.0109 0.7166 0.7586
0.0125 0.2931 0.2608
0.2931 0.0125 0.7608
0.2935 0.7201 0.2589
0.3411 0.6284 0.5934
0.3822 0.9642 0.4247
0.6284 0.3411 0.0934
0.6765 0.9632 0.9235
0.7166 0.0109 0.2586
0.7201 0.2935 0.7589
0.9632 0.6765 0.4235
0.9642 0.3822 0.9247
0.0243 0.1976 0.3175
0.0273 0.8245 0.0976
0.0326 0.8033 0.8128
0.0370 0.1641 0.5983
0.1238 0.5264 0.1551
0.1306 0.3804 0.6484
0.1376 0.5009 0.4281
0.1458 0.3686 0.9283
0.1608 0.3298 0.2546
0.1641 0.0370 0.0983
0.1683 0.3123 0.5296
0.1692 0.5368 0.7510
0.1752 0.5336 0.0362
0.1767 0.8112 0.5969
0.1829 0.8053 0.3124
0.1973 0.8458 0.9206
0.1976 0.0243 0.8175
0.2040 0.9862 0.4189
0.2079 0.8317 0.2014
0.2075 0.9768 0.7054
0.3123 0.1683 0.0296
0.3135 0.5380 0.5378
0.3298 0.1608 0.7546
0.3297 0.5338 0.2520
0.3686 0.1458 0.4283
0.3722 0.4907 0.9290
0.3756 0.5256 0.6499
0.3804 0.1306 0.1484
0.4791 0.7061 0.2621
0.4786 0.8544 0.4788
0.4824 0.8361 0.7628
0.4907 0.3722 0.4290
0.4913 0.6865 0.9777
0.4964 0.6560 0.5806
0.5000 0.8740 0.3683
0.5009 0.1376 0.9281
0.5010 0.8562 0.0793
0.5049 0.6451 0.8634
0.5264 0.1238 0.6551
0.5256 0.3756 0.1499
0.5336 0.1752 0.5362
0.5338 0.3297 0.7520
0.5368 0.1692 0.2510
0.5380 0.3135 0.0378
0.6451 0.5049 0.3634
0.6475 0.8720 0.8672
0.6551 0.8575 0.5803
0.6560 0.4964 0.0806
0.6865 0.4913 0.4777
0.6917 0.8483 0.9776
0.7061 0.4791 0.7621
0.7070 0.8373 0.2631
0.8033 0.0326 0.3128
0.8053 0.1829 0.8124
0.8112 0.1767 0.0969
0.8245 0.0273 0.5976
0.8317 0.2079 0.7014
0.8319 0.9834 0.9190
0.8361 0.4824 0.2628
0.8363 0.9760 0.2026
0.8373 0.7070 0.7631
0.8458 0.1973 0.4206
0.8483 0.6917 0.4776
0.8544 0.4786 0.9788
0.8562 0.5010 0.5793
0.8575 0.6551 0.0803
0.8720 0.6475 0.3672
0.8740 0.5000 0.8683
0.9760 0.8363 0.7026
0.9768 0.2075 0.2054
0.9834 0.8319 0.4190
0.9862 0.2040 0.9189
```

Total DFT energy (no corrections) (hartree per atom): -0.26922


Record 3
Compound: Na21Mg8Nb4Si3P15O72
Source: the Materials Project database
Functional: PBE
Structure: relaxed

```
Na21Mg8Nb4Si3P15O72
1.0
9.0043 0.0000 0.0000
4.4897 7.8053 0.0000
0.0569 0.0143 22.1957
Na Mg Nb Si P O
21 8 4 3 15 72
direct
0.0000 0.0000 0.0000
0.0009 0.6403 0.7383
0.0027 0.2555 0.4966
0.0176 0.3080 0.1625
0.3011 0.3062 0.6589
0.3028 0.6506 0.1615
0.3206 0.9632 0.5761
0.3348 0.9615 0.0772
0.3414 0.3234 0.3298
0.3532 0.5862 0.8271
0.3687 0.6304 0.4992
0.3717 0.2561 0.9968
0.6250 0.6326 0.9973
0.6289 0.0011 0.4995
0.6610 0.3014 0.9115
0.6774 0.6483 0.6590
0.6767 0.9315 0.1619
0.6824 0.2950 0.4097
0.6886 0.9789 0.8269
0.9597 0.3238 0.8247
0.9892 0.6381 0.2463
0.0001 0.6350 0.5993
0.3298 0.9638 0.4316
0.3357 0.9616 0.9317
0.6651 0.2978 0.7638
0.6668 0.2976 0.0651
0.6696 0.2946 0.5646
0.6741 0.2966 0.2670
0.9994 0.6296 0.0991
0.3303 0.9651 0.2329
0.3337 0.9648 0.7274
0.9949 0.6318 0.3938
0.9992 0.6275 0.8945
0.0288 0.2582 0.3368
0.3389 0.2532 0.8347
0.6231 0.6679 0.8345
0.0000 0.3341 0.0005
0.0012 0.9211 0.4995
0.0421 0.9643 0.8342
0.2932 0.3365 0.4998
0.2927 0.6314 0.0001
0.3350 0.6679 0.3346
0.3708 0.5907 0.6647
0.3732 0.2961 0.1649
0.6256 0.9646 0.3337
0.6653 0.5906 0.1633
0.6716 0.0016 0.6652
0.7051 0.6312 0.5004
0.7055 0.9243 0.0004
0.9586 0.0030 0.1638
0.9599 0.2959 0.6644
0.0256 0.4210 0.0551
0.0279 0.8064 0.5531
0.0303 0.7950 0.8376
0.0315 0.4474 0.3369
0.1183 0.9920 0.8911
0.1284 0.1530 0.3945
0.1469 0.1311 0.6715
0.1466 0.9819 0.1729
0.1578 0.4484 0.8379
0.1589 0.1560 0.9935
0.1623 0.9389 0.4931
0.1644 0.6585 0.3364
0.1644 0.9303 0.7791
0.1671 0.1594 0.2758
0.1811 0.4208 0.5551
0.1831 0.6535 0.0554
0.1891 0.4498 0.1595
0.1933 0.6087 0.6594
0.1945 0.6118 0.9427
0.1959 0.4550 0.4425
0.2968 0.1646 0.7752
0.3075 0.7937 0.9942
0.3094 0.7871 0.2771
0.3159 0.1558 0.4938
0.3544 0.7750 0.6729
0.3560 0.1267 0.1712
0.3577 0.7503 0.3903
0.3608 0.1443 0.8938
0.4541 0.4855 0.7217
0.4547 0.3214 0.2210
0.4690 0.3276 0.5003
0.4686 0.4659 0.9996
0.4803 0.4867 0.3242
0.4838 0.2599 0.1076
0.4848 0.5176 0.6084
0.4962 0.9869 0.6716
0.4994 0.7770 0.1715
0.4995 0.2822 0.8255
0.5100 0.7498 0.8933
0.5191 0.9857 0.3895
0.5274 0.7909 0.4923
0.5273 0.9412 0.9950
0.5306 0.7983 0.7751
0.5357 0.9338 0.2763
0.6273 0.5226 0.1047
0.6307 0.1142 0.6090
0.6373 0.1246 0.3231
0.6614 0.4754 0.8249
0.6858 0.0843 0.7232
0.6916 0.4756 0.2165
0.6950 0.1006 0.0001
0.6959 0.4653 0.5000
0.7880 0.6577 0.5561
0.7930 0.8137 0.0554
0.8060 0.7989 0.3364
0.8146 0.6625 0.8380
0.8164 0.8158 0.6606
0.8215 0.6186 0.1589
0.8231 0.8267 0.9430
0.8274 0.6115 0.4441
0.8329 0.3266 0.9997
0.8360 0.0977 0.5004
0.8421 0.0898 0.2169
0.8441 0.2855 0.3254
0.8546 0.3194 0.7214
0.8624 0.1155 0.8245
0.8832 0.2690 0.6071
0.8944 0.1104 0.1052
0.9801 0.4538 0.9427
0.9796 0.8238 0.4423
0.9886 0.4519 0.6610
0.9896 0.8183 0.1588
```

Total DFT energy (no corrections) (hartree per atom): -0.24788


Record 4
Compound: NaPrMgNbO6
Source: the Materials Project database
Functional: PBE
Structure: relaxed

```
NaPrMgNbO6
1.0
0.0000 3.9965 3.9965
3.9965 0.0000 3.9965
3.9965 3.9965 0.0000
Na Pr Mg Nb O
1 1 1 1 6
direct
0.0000 0.0000 0.0000
0.5000 0.5000 0.5000
0.7500 0.7500 0.7500
0.2500 0.2500 0.2500
0.0013 0.0013 0.4987
0.0013 0.4987 0.0013
0.0013 0.4987 0.4987
0.4987 0.0013 0.0013
0.4987 0.0013 0.4987
0.4987 0.4987 0.0013
```

Total DFT energy (no corrections) (hartree per atom): -0.26360


- Among the records above, which one has the lowest total DFT energy (no corrections)?
  Na6Mg2Nb4Si3P6O36